Entry from the Materials Project: an optimized crystal structure of MgCoGe (PBE).

Volume   47 Å³/f.u.

Structure (CIF):
```
data_MgCoGe
_chemical_formula_sum 'Mg2 Co2 Ge2'
_cell_length_a 3.8996
_cell_length_b 3.8996
_cell_length_c 6.1645
_cell_angle_alpha 90.00
_cell_angle_beta 90.00
_cell_angle_gamma 90.00
_space_group_name_H-M_alt 'P 1'
_space_group_IT_number 1
_space_group_name_Hall 'P 1'
loop_
_atom_site_label
_atom_site_fract_x
_atom_site_fract_y
_atom_site_fract_z
_atom_site_occupancy
Co1 0.5000 0.5000 0.0000 1
Co2 0.0000 0.0000 0.0000 1
Ge1 0.0000 0.5000 0.7744 1
Ge2 0.5000 0.0000 0.2256 1
Mg1 0.5000 0.0000 0.6784 1
Mg2 0.0000 0.5000 0.3216 1
```



Entry from the Materials Project: an optimized crystal structure of MnSb (PBE).

Volume   44 Å³/f.u.

Structure (CIF):
```
data_MnSb
_chemical_formula_sum 'Mn1 Sb1'
_cell_length_a 3.9527
_cell_length_b 3.9527
_cell_length_c 3.9527
_cell_angle_alpha 60.00
_cell_angle_beta 60.00
_cell_angle_gamma 60.00
_space_group_name_H-M_alt 'P 1'
_space_group_IT_number 1
_space_group_name_Hall 'P 1'
loop_
_atom_site_label
_atom_site_fract_x
_atom_site_fract_y
_atom_site_fract_z
_atom_site_occupancy
Mn1 0.0000 0.0000 0.0000 1
Sb1 0.5000 0.5000 0.5000 1
```



Entry from the Materials Project: an optimized crystal structure of Ta2Ti2Si3S3O24 (PBE).

Volume   506 Å³/f.u.

Structure (CIF):
```
data_Ta2Ti2Si3S3O24
_chemical_formula_sum 'Ta6 Ti6 Si9 S9 O72'
_cell_length_a 8.7819
_cell_length_b 8.7993
_cell_length_c 22.6542
_cell_angle_alpha 89.60
_cell_angle_beta 90.32
_cell_angle_gamma 119.81
_space_group_name_H-M_alt 'P 1'
_space_group_IT_number 1
_space_group_name_Hall 'P 1'
loop_
_atom_site_label
_atom_site_fract_x
_atom_site_fract_y
_atom_site_fract_z
_atom_site_occupancy
O1 0.4618 0.1584 0.5291 1
O2 0.5004 0.6407 0.5734 1
O3 0.8325 0.3031 0.5258 1
O4 0.6345 0.4915 0.6412 1
O5 0.1447 0.6415 0.0740 1
O6 0.3602 0.8712 0.5734 1
O7 0.5343 0.6931 0.2599 1
O8 0.8234 0.7937 0.3041 1
O9 0.7896 0.8231 0.1980 1
O10 0.1672 0.4774 0.2632 1
O11 0.0273 0.8243 0.4039 1
O12 0.0263 0.2036 0.9103 1
O13 0.8296 0.5238 0.0253 1
O14 0.1482 0.5121 0.5677 1
O15 0.0353 0.8229 0.6970 1
O16 0.9722 0.7947 0.8037 1
O17 0.5064 0.6336 0.8635 1
O18 0.1639 0.1885 0.6925 1
O19 0.3084 0.8269 0.9746 1
O20 0.2023 0.0234 0.3035 1
O21 0.1245 0.4894 0.8646 1
O22 0.1561 0.4585 0.9707 1
O23 0.1726 0.9660 0.1971 1
O24 0.8451 0.5394 0.7444 1
O25 0.4888 0.3605 0.4226 1
O26 0.7018 0.1586 0.0304 1
O27 0.8092 0.9710 0.4054 1
O28 0.6937 0.1744 0.7387 1
O29 0.6362 0.1254 0.1366 1
O30 0.4828 0.3095 0.7388 1
O31 0.3583 0.4916 0.3629 1
O32 0.5054 0.3595 0.1420 1
O33 0.4903 0.1214 0.6358 1
O34 0.6909 0.5369 0.2438 1
O35 0.2047 0.0266 0.5899 1
O36 0.9790 0.1704 0.5906 1
O37 0.4744 0.3022 0.0263 1
O38 0.8032 0.9656 0.6931 1
O39 0.1299 0.6375 0.3624 1
O40 0.1780 0.2013 0.4059 1
O41 0.7964 0.8206 0.9081 1
O42 0.8606 0.3672 0.6409 1
O43 0.5382 0.6923 0.9697 1
O44 0.5134 0.8704 0.0752 1
O45 0.9689 0.8087 0.0977 1
O46 0.5273 0.8331 0.7601 1
O47 0.9722 0.1621 0.3073 1
O48 0.1561 0.6912 0.7593 1
O49 0.1543 0.6968 0.4683 1
O50 0.0261 0.1885 0.1940 1
O51 0.3020 0.4736 0.7642 1
O52 0.3575 0.8524 0.8604 1
O53 0.8391 0.0254 0.8092 1
O54 0.8702 0.5107 0.4221 1
O55 0.1553 0.9697 0.9062 1
O56 0.8695 0.3603 0.9263 1
O57 0.6378 0.1456 0.4255 1
O58 0.5185 0.8250 0.4738 1
O59 0.6369 0.5078 0.9234 1
O60 0.8237 0.0268 0.0926 1
O61 0.3651 0.5116 0.0696 1
O62 0.5040 0.1402 0.9279 1
O63 0.1982 0.1645 0.8075 1
O64 0.3013 0.8388 0.2587 1
O65 0.4964 0.8550 0.3590 1
O66 0.8200 0.3029 0.2390 1
O67 0.8454 0.8073 0.5931 1
O68 0.6900 0.5221 0.5243 1
O69 0.4612 0.1515 0.2417 1
O70 0.2968 0.4540 0.4686 1
O71 0.8633 0.4968 0.1412 1
O72 0.1957 0.1692 0.0935 1
Ta1 0.3327 0.6709 0.3103 1
Ta2 0.6564 0.3366 0.9749 1
Ta3 0.6759 0.3327 0.4799 1
Ta4 0.3420 0.6776 0.8066 1
Ta5 0.0102 0.0136 0.1398 1
Ta6 0.9889 0.0083 0.6425 1
Ti1 0.3157 0.6653 0.0245 1
Ti2 0.6714 0.3406 0.6918 1
Ti3 0.9859 0.0133 0.3576 1
Ti4 0.0194 0.0191 0.8523 1
Ti5 0.3515 0.6721 0.5297 1
Ti6 0.6822 0.3502 0.1856 1
S1 0.9975 0.7145 0.7507 1
S2 0.6213 0.6739 0.9168 1
S3 0.2867 0.0045 0.2509 1
S4 0.0479 0.6719 0.4167 1
S5 0.0471 0.3793 0.9173 1
S6 0.7154 0.7137 0.2510 1
S7 0.3808 0.0463 0.5841 1
S8 0.3313 0.3789 0.4170 1
S9 0.6625 0.0463 0.0834 1
Si1 0.6141 0.9514 0.4187 1
Si2 0.3257 0.9481 0.9168 1
Si3 0.7222 0.0114 0.7516 1
Si4 0.2920 0.2874 0.7484 1
Si5 0.9605 0.3465 0.5858 1
Si6 0.9514 0.6197 0.0821 1
Si7 0.6726 0.6163 0.5850 1
Si8 0.9930 0.2868 0.2493 1
Si9 0.3909 0.3476 0.0838 1
```



Entry from the Materials Project: an optimized crystal structure of KPrDyGeO6 (PBE).

Volume   137 Å³/f.u.

Structure (CIF):
```
data_KPrDyGeO6
_chemical_formula_sum 'K1 Pr1 Dy1 Ge1 O6'
_cell_length_a 5.7888
_cell_length_b 5.7888
_cell_length_c 5.7888
_cell_angle_alpha 60.00
_cell_angle_beta 60.00
_cell_angle_gamma 60.00
_space_group_name_H-M_alt 'P 1'
_space_group_IT_number 1
_space_group_name_Hall 'P 1'
loop_
_atom_site_label
_atom_site_fract_x
_atom_site_fract_y
_atom_site_fract_z
_atom_site_occupancy
O1 0.2685 0.2685 0.7315 1
O2 0.2685 0.7315 0.2685 1
O3 0.7315 0.2685 0.2685 1
O4 0.7315 0.7315 0.2685 1
O5 0.7315 0.2685 0.7315 1
O6 0.2685 0.7315 0.7315 1
Ge1 0.5000 0.5000 0.5000 1
Pr1 0.7500 0.7500 0.7500 1
Dy1 0.0000 0.0000 0.0000 1
K1 0.2500 0.2500 0.2500 1
```



Entry from the Materials Project: an optimized crystal structure of NaPrNb4O12 (PBE).

Volume   255 Å³/f.u.

Structure (CIF):
```
data_NaPrNb4O12
_chemical_formula_sum 'Na1 Pr1 Nb4 O12'
_cell_length_a 5.6489
_cell_length_b 5.6489
_cell_length_c 8.0069
_cell_angle_alpha 90.00
_cell_angle_beta 90.00
_cell_angle_gamma 90.00
_space_group_name_H-M_alt 'P 1'
_space_group_IT_number 1
_space_group_name_Hall 'P 1'
loop_
_atom_site_label
_atom_site_fract_x
_atom_site_fract_y
_atom_site_fract_z
_atom_site_occupancy
Na1 0.5000 0.5000 0.0000 1
O1 0.5000 0.0000 0.5000 1
O2 0.7585 0.7585 0.2623 1
O3 0.7585 0.7585 0.7377 1
O4 0.7585 0.2415 0.7377 1
O5 0.5000 0.0000 0.0000 1
O6 0.2415 0.7585 0.7377 1
O7 0.2415 0.2415 0.7377 1
O8 0.0000 0.5000 0.5000 1
O9 0.7585 0.2415 0.2623 1
O10 0.0000 0.5000 0.0000 1
O11 0.2415 0.2415 0.2623 1
O12 0.2415 0.7585 0.2623 1
Nb1 0.5000 0.0000 0.7527 1
Nb2 0.0000 0.5000 0.7527 1
Nb3 0.0000 0.5000 0.2473 1
Nb4 0.5000 0.0000 0.2473 1
Pr1 0.0000 0.0000 0.5000 1
```



Entry from the Materials Project: an optimized crystal structure of ErRh2Pb (PBE).

Volume   76 Å³/f.u.

Structure (CIF):
```
data_ErRh2Pb
_chemical_formula_sum 'Er1 Rh2 Pb1'
_cell_length_a 4.7529
_cell_length_b 4.7529
_cell_length_c 4.7529
_cell_angle_alpha 60.00
_cell_angle_beta 60.00
_cell_angle_gamma 60.00
_space_group_name_H-M_alt 'P 1'
_space_group_IT_number 1
_space_group_name_Hall 'P 1'
loop_
_atom_site_label
_atom_site_fract_x
_atom_site_fract_y
_atom_site_fract_z
_atom_site_occupancy
Pb1 0.5000 0.5000 0.5000 1
Rh1 0.2500 0.2500 0.2500 1
Rh2 0.7500 0.7500 0.7500 1
Er1 0.0000 0.0000 0.0000 1
```



| no. | formation enthalpy at 0 K (kJ per mole of atoms) |
| --- | --- |
| 1 | -29 |
| 2 | 4 |
| 3 | -268 |
| 4 | -263 |
| 5 | -295 |
| 6 | -56 |